# 1
# r2SCAN Gd, optimized geometry
# - Energy above the lowest structure with this stoichiometry: 75 meV/atom
# - Formation energy: 0.07 eV/atom
# - Spin magnetization: 8.063 μB per atom
data_Gd
_chemical_formula_sum 'Gd4'
_space_group_name_H-M_alt 'F m -3 m'
_space_group_IT_number 225
_space_group_name_Hall '-F 4 2 3'
_cell_length_a 5.172
_cell_length_b 5.172
_cell_length_c 5.172
_cell_angle_alpha 90.00
_cell_angle_beta 90.00
_cell_angle_gamma 90.00
loop_
_atom_site_label
_atom_site_type_symbol
_atom_site_fract_x
_atom_site_fract_y
_atom_site_fract_z
Gd1 Gd 0.000 0.000 0.000

***

# 2
# r2SCAN CaAlF5, optimized geometry
# - Energy above the lowest structure with this stoichiometry: 0 meV/atom
# - Formation energy: -4.01 eV/atom
# - Spin magnetization: 0.000 μB per atom
data_CaAlF5
_chemical_formula_sum 'Ca4 Al4 F20'
_space_group_name_H-M_alt 'C 1 2/c 1'
_space_group_IT_number 15
_cell_length_a 8.730
_cell_length_b 6.307
_cell_length_c 7.320
_cell_angle_alpha 90.00
_cell_angle_beta 114.91
_cell_angle_gamma 90.00
loop_
_space_group_symop_operation_xyz
'x,y,z'
'-x,-y,-z'
'-x,y,-z+1/2'
'x,-y,z+1/2'
'x+1/2,y+1/2,z'
'-x+1/2,-y+1/2,-z'
'-x+1/2,y+1/2,-z+1/2'
'x+1/2,-y+1/2,z+1/2'
loop_
_atom_site_label
_atom_site_type_symbol
_atom_site_fract_x
_atom_site_fract_y
_atom_site_fract_z
Ca1 Ca 0.000 0.045 0.250
Al1 Al 0.000 0.500 0.000
F1 F 0.000 0.441 0.250
F2 F 0.012 0.217 0.972
F3 F 0.222 0.482 0.614

***

# 3
# r2SCAN SiO2, optimized geometry
# - Formation energy: -3.04 eV/atom
# - Spin magnetization: 0.000 μB per atom
data_SiO2
_chemical_formula_sum 'Si12 O24'
_space_group_name_H-M_alt 'C 1 2/c 1'
_space_group_IT_number 15
_cell_length_a 13.786
_cell_length_b 4.842
_cell_length_c 8.744
_cell_angle_alpha 90.00
_cell_angle_beta 128.98
_cell_angle_gamma 90.00
loop_
_space_group_symop_operation_xyz
'x,y,z'
'-x,-y,-z'
'-x,y,-z+1/2'
'x,-y,z+1/2'
'x+1/2,y+1/2,z'
'-x+1/2,-y+1/2,-z'
'-x+1/2,y+1/2,-z+1/2'
'x+1/2,-y+1/2,z+1/2'
loop_
_atom_site_label
_atom_site_type_symbol
_atom_site_fract_x
_atom_site_fract_y
_atom_site_fract_z
Si1 Si 0.000 0.026 0.250
Si2 Si 0.167 0.257 0.154
O1 O 0.066 0.220 0.190
O2 O 0.105 0.167 0.933
O3 O 0.209 0.424 0.688

***

# 4
# r2SCAN MgZn3, optimized geometry
# - Formation energy: -0.02 eV/atom
# - Spin magnetization: 0.000 μB per atom
data_MgZn3
_chemical_formula_sum 'Mg1 Zn3'
_space_group_name_H-M_alt 'P m -3 m'
_space_group_IT_number 221
_space_group_name_Hall '-P 4 2 3'
_cell_length_a 3.966
_cell_length_b 3.966
_cell_length_c 3.966
_cell_angle_alpha 90.00
_cell_angle_beta 90.00
_cell_angle_gamma 90.00
loop_
_atom_site_label
_atom_site_type_symbol
_atom_site_fract_x
_atom_site_fract_y
_atom_site_fract_z
Mg1 Mg 0.000 0.000 0.000
Zn1 Zn 0.000 0.500 0.500

***

- Which formula does entry 1 have?
  Gd

***

- Which formula does entry 3 have?
  SiO2